! Er2Se3, relaxed, DFT r2SCAN; values from VASP
! DFT formation energy = -2.1739 eV/atom
! SG = Fddd (70)
! energy = -1.7883 Ry per atom
&SYSTEM
  ibrav = 0, nat = 20, ntyp = 2
/
ATOMIC_SPECIES
Er 167.26 Er.upf
Se 78.96 Se.upf
ATOMIC_POSITIONS crystal
Er 0.1276 0.3776 0.7552
Er 0.7910 0.0410 0.0821
Er 0.0410 0.7910 0.5821
Er 0.6224 0.8724 0.7448
Er 0.2090 0.9590 0.9179
Er 0.9590 0.2090 0.4179
Er 0.8724 0.6224 0.2448
Er 0.3776 0.1276 0.2552
Se 0.5392 0.2834 0.0881
Se 0.9511 0.1953 0.9119
Se 0.8830 0.6330 0.7500
Se 0.1170 0.3670 0.2500
Se 0.6330 0.8830 0.2500
Se 0.1953 0.9511 0.4119
Se 0.2834 0.5392 0.5881
Se 0.3670 0.1170 0.7500
Se 0.4608 0.7166 0.9119
Se 0.0489 0.8047 0.0881
Se 0.7166 0.4608 0.4119
Se 0.8047 0.0489 0.5881
CELL_PARAMETERS angstrom
6.8721 0.0023 -1.2882
-2.5611 6.3771 -1.2882
-0.0041 -0.0060 12.7714

! Er2Se3, relaxed, DFT r2SCAN; values from VASP
! DFT formation energy = -2.0991 eV/atom
! SG = P-4m2 (115)
! energy = -1.7828 Ry per atom
&SYSTEM
  ibrav = 0, nat = 5, ntyp = 2
/
ATOMIC_SPECIES
Se 78.96 Se.upf
Er 167.26 Er.upf
ATOMIC_POSITIONS crystal
Se 0.0000 0.5000 0.8653
Se 0.5000 0.5000 0.5000
Se 0.5000 0.0000 0.1347
Er 0.0000 0.5000 0.2378
Er 0.5000 0.0000 0.7622
CELL_PARAMETERS angstrom
3.9205 0.0000 0.0000
0.0000 3.9205 0.0000
0.0000 0.0000 8.0138